[1]
Computed, not measured: a relaxed VF5 crystal at the r2SCAN level of DFT.

Summary:
The formation energy is -16.78 eV per formula unit.

Cell: 4.9964 4.9964 8.4664 Å, 64.74 64.74 72.44°
With the nearest neighbours (Å) after each atom.
Positions (direct):
V (0.0127, 0.9838, 0.0398)  5 F 1.72-1.75
V (0.9838, 0.0127, 0.5398)  5 F 1.72-1.75
F (0.2171, 0.6717, 0.9766)  1 V 1.75
F (0.3019, 0.1781, 0.8607)  1 V 1.75
F (0.8181, 0.6948, 0.6230)  1 V 1.75
F (0.9255, 0.0706, 0.7385)  1 V 1.72
F (0.6717, 0.2171, 0.4766)  1 V 1.75
F (0.3262, 0.7792, 0.5054)  1 V 1.74
F (0.0706, 0.9255, 0.2385)  1 V 1.72
F (0.1781, 0.3019, 0.3607)  1 V 1.75
F (0.6948, 0.8181, 0.1230)  1 V 1.75
F (0.7792, 0.3262, 0.0054)  1 V 1.74

=====

[2]
Computed, not measured: a relaxed TbNi2B2 crystal at the r2SCAN level of DFT.

Summary:
The formation energy is -2.98 eV per formula unit.

Cell: 4.9555 4.9555 6.0512 Å, 102.57 104.29 115.64°
With the nearest neighbours (Å) after each atom.
Positions (direct):
Tb (0.6299, 0.8799, 0.7500)  6 B 2.70-2.86, 6 Ni 2.81-2.98
Tb (0.3701, 0.1201, 0.2500)  6 B 2.70-2.86, 6 Ni 2.81-2.98
Ni (0.6700, 0.7191, 0.1998)  4 B 2.02-2.05
Ni (0.3300, 0.2809, 0.8002)  4 B 2.02-2.05
Ni (0.0193, 0.4702, 0.3002)  4 B 2.02-2.05
Ni (0.9807, 0.5298, 0.6998)  4 B 2.02-2.05
B (0.9712, 0.1552, 0.4738)  1 B 1.76
B (0.0288, 0.8448, 0.5262)  1 B 1.76
B (0.1814, 0.4975, 0.0262)  1 B 1.76
B (0.8186, 0.5025, 0.9738)  1 B 1.76

=====

[3]
Computed, not measured: a relaxed Al2Cu crystal at the r2SCAN level of DFT.

Summary:
The formation energy is -0.50 eV per formula unit.

Cell: 4.7855 4.8695 4.8695 Å, 76.03 60.57 60.57°
With the nearest neighbours (Å) after each atom.
Positions (direct):
Al (0.1586, 0.5000, 0.1828)  4 Cu 2.56, 3 Al 2.69-2.85
Al (0.3414, 0.8172, 0.5000)  4 Cu 2.56, 3 Al 2.69-2.85
Al (0.6586, 0.1828, 0.5000)  4 Cu 2.56, 3 Al 2.69-2.85
Al (0.8414, 0.5000, 0.8172)  4 Cu 2.56, 3 Al 2.69-2.85
Cu (0.2500, 0.0000, 0.0000)  2 Cu 2.39, 8 Al 2.56
Cu (0.7500, 0.0000, 0.0000)  2 Cu 2.39, 8 Al 2.56

=====

[4]
Computed, not measured: a relaxed HoLuCu2 crystal at the r2SCAN level of DFT.

Summary:
The formation energy is -1.17 eV per formula unit.

Cell: 4.7952 4.7952 4.7952 Å, 60.00 60.00 60.00°
With the nearest neighbours (Å) after each atom.
Positions (direct):
Ho (0.5000, 0.5000, 0.5000)  8 Cu 2.94
Lu (0.0000, 0.0000, 0.0000)  8 Cu 2.94
Cu (0.7500, 0.7500, 0.7500)  4 Ho 2.94, 4 Lu 2.94
Cu (0.2500, 0.2500, 0.2500)  4 Ho 2.94, 4 Lu 2.94

=====

[5]
Computed, not measured: a relaxed ScCo3C crystal at the r2SCAN level of DFT.

Summary:
The formation energy is -0.73 eV per formula unit.

Cell: 3.7809 3.7810 3.7810 Å, 90.00 90.00 90.00°
With the nearest neighbours (Å) after each atom.
Positions (direct):
Sc (0.0000, 0.0000, 0.0000)  12 Co 2.67
Co (0.0000, 0.5000, 0.5000)  2 C 1.89
Co (0.5000, 0.0000, 0.5000)  2 C 1.89
Co (0.5000, 0.5000, 0.0000)  2 C 1.89
C (0.5000, 0.5000, 0.5000)  6 Co 1.89

=====

[6]
Computed, not measured: a relaxed Rb6Na4Tl13 crystal at the r2SCAN level of DFT.

Summary:
The formation energy is -4.30 eV per formula unit.

Cell: 10.1646 10.1646 10.1646 Å, 109.47 109.47 109.47°
With the nearest neighbours (Å) after each atom.
Positions (direct):
Rb (0.8289, 0.3289, 0.5000)  6 Tl 3.79-4.03, 1 Rb 4.02
Rb (0.1711, 0.6711, 0.5000)  6 Tl 3.79-4.03, 1 Rb 4.02
Rb (0.3289, 0.5000, 0.8289)  6 Tl 3.79-4.03, 1 Rb 4.02
Rb (0.6711, 0.5000, 0.1711)  6 Tl 3.79-4.03, 1 Rb 4.02
Rb (0.5000, 0.8289, 0.3289)  6 Tl 3.79-4.03, 1 Rb 4.02
Rb (0.5000, 0.1711, 0.6711)  6 Tl 3.79-4.03, 1 Rb 4.02
Na (0.5000, 0.5000, 0.5000)  6 Tl 3.20
Na (0.5000, 0.0000, 0.0000)  6 Tl 3.20
Na (0.0000, 0.5000, 0.0000)  6 Tl 3.20
Na (0.0000, 0.0000, 0.5000)  6 Tl 3.20
Tl (0.8590, 0.7622, 0.6212)  2 Na 3.20, 6 Tl 3.24-3.44
Tl (0.1410, 0.2378, 0.3788)  2 Na 3.20, 6 Tl 3.24-3.44
Tl (0.1410, 0.7622, 0.9032)  2 Na 3.20, 6 Tl 3.24-3.44
Tl (0.8590, 0.2378, 0.0968)  2 Na 3.20, 6 Tl 3.24-3.44
Tl (0.7622, 0.6212, 0.8590)  2 Na 3.20, 6 Tl 3.24-3.44
Tl (0.2378, 0.3788, 0.1410)  2 Na 3.20, 6 Tl 3.24-3.44
Tl (0.7622, 0.9032, 0.1410)  2 Na 3.20, 6 Tl 3.24-3.44
Tl (0.2378, 0.0968, 0.8590)  2 Na 3.20, 6 Tl 3.24-3.44
Tl (0.6212, 0.8590, 0.7622)  2 Na 3.20, 6 Tl 3.24-3.44
Tl (0.3788, 0.1410, 0.2378)  2 Na 3.20, 6 Tl 3.24-3.44
Tl (0.0968, 0.8590, 0.2378)  2 Na 3.20, 6 Tl 3.24-3.44
Tl (0.9032, 0.1410, 0.7622)  2 Na 3.20, 6 Tl 3.24-3.44
Tl (0.0000, 0.0000, 0.0000)  12 Tl 3.24

=====

Repeat the fourth record exactly.
Computed, not measured: a relaxed HoLuCu2 crystal at the r2SCAN level of DFT.

Summary:
The formation energy is -1.17 eV per formula unit.

Cell: 4.7952 4.7952 4.7952 Å, 60.00 60.00 60.00°
With the nearest neighbours (Å) after each atom.
Positions (direct):
Ho (0.5000, 0.5000, 0.5000)  8 Cu 2.94
Lu (0.0000, 0.0000, 0.0000)  8 Cu 2.94
Cu (0.7500, 0.7500, 0.7500)  4 Ho 2.94, 4 Lu 2.94
Cu (0.2500, 0.2500, 0.2500)  4 Ho 2.94, 4 Lu 2.94